No. 1
The following is a DFT calculation (GGA-PBE) of Na2La2P2SO12 after structural relaxation.

CIF file:
```
data_Na2La2P2SO12
_chemical_formula_sum 'Na12 La12 P12 S6 O72'
_space_group_name_H-M_alt 'P 1'
_space_group_IT_number 1
_cell_length_a 9.551
_cell_length_b 9.551
_cell_length_c 24.542
_cell_angle_alpha 90.94
_cell_angle_beta 89.06
_cell_angle_gamma 119.91
loop_
_space_group_symop_operation_xyz
'x,y,z'
loop_
_atom_site_label
_atom_site_type_symbol
_atom_site_fract_x
_atom_site_fract_y
_atom_site_fract_z
Na1 Na 0.988 0.622 0.254
Na2 Na 0.378 0.012 0.754
Na3 Na 0.655 0.955 0.588
Na4 Na 0.045 0.345 0.088
Na5 Na 0.321 0.289 0.921
Na6 Na 0.711 0.679 0.421
Na7 Na 0.024 0.979 0.501
Na8 Na 0.021 0.976 0.001
Na9 Na 0.691 0.312 0.834
Na10 Na 0.688 0.309 0.334
Na11 Na 0.357 0.646 0.167
Na12 Na 0.354 0.643 0.667
La1 La 0.994 0.016 0.348
La2 La 0.984 0.006 0.848
La3 La 0.001 0.998 0.651
La4 La 0.002 0.999 0.151
La5 La 0.661 0.349 0.682
La6 La 0.651 0.339 0.182
La7 La 0.668 0.331 0.984
La8 La 0.669 0.332 0.484
La9 La 0.328 0.682 0.015
La10 La 0.318 0.672 0.515
La11 La 0.334 0.665 0.317
La12 La 0.335 0.666 0.817
P1 P 0.702 0.699 0.253
P2 P 0.998 0.314 0.245
P3 P 0.301 0.298 0.753
P4 P 0.686 0.002 0.745
P5 P 0.369 0.032 0.586
P6 P 0.665 0.647 0.578
P7 P 0.968 0.631 0.086
P8 P 0.353 0.335 0.078
P9 P 0.036 0.366 0.920
P10 P 0.331 0.981 0.912
P11 P 0.634 0.964 0.420
P12 P 0.019 0.669 0.412
S1 S 0.302 0.997 0.251
S2 S 0.003 0.698 0.751
S3 S 0.969 0.330 0.585
S4 S 0.670 0.031 0.085
S5 S 0.635 0.663 0.918
S6 S 0.337 0.365 0.418
O1 O 0.220 0.011 0.301
O2 O 0.795 0.782 0.306
O3 O 0.995 0.213 0.295
O4 O 0.218 0.205 0.806
O5 O 0.989 0.780 0.801
O6 O 0.787 0.005 0.795
O7 O 0.767 0.991 0.691
O8 O 0.197 0.201 0.704
O9 O 0.008 0.790 0.702
O10 O 0.799 0.803 0.204
O11 O 0.009 0.233 0.191
O12 O 0.210 0.992 0.202
O13 O 0.886 0.344 0.634
O14 O 0.462 0.116 0.639
O15 O 0.662 0.547 0.628
O16 O 0.884 0.538 0.139
O17 O 0.656 0.114 0.134
O18 O 0.453 0.338 0.128
O19 O 0.433 0.324 0.024
O20 O 0.863 0.534 0.037
O21 O 0.675 0.123 0.035
O22 O 0.466 0.137 0.537
O23 O 0.676 0.567 0.524
O24 O 0.877 0.325 0.535
O25 O 0.553 0.678 0.967
O26 O 0.129 0.449 0.973
O27 O 0.329 0.880 0.961
O28 O 0.551 0.871 0.473
O29 O 0.322 0.447 0.467
O30 O 0.120 0.671 0.461
O31 O 0.100 0.658 0.358
O32 O 0.530 0.867 0.370
O33 O 0.342 0.456 0.369
O34 O 0.133 0.470 0.870
O35 O 0.342 0.900 0.858
O36 O 0.544 0.658 0.869
O37 O 0.002 0.823 0.414
O38 O 0.800 0.969 0.416
O39 O 0.198 0.198 0.416
O40 O 0.031 0.200 0.916
O41 O 0.177 0.998 0.914
O42 O 0.802 0.802 0.916
O43 O 0.971 0.175 0.585
O44 O 0.196 0.007 0.586
O45 O 0.814 0.823 0.582
O46 O 0.993 0.804 0.086
O47 O 0.825 0.029 0.085
O48 O 0.177 0.186 0.082
O49 O 0.669 0.156 0.748
O50 O 0.467 0.302 0.750
O51 O 0.864 0.531 0.749
O52 O 0.698 0.533 0.250
O53 O 0.844 0.331 0.248
O54 O 0.469 0.136 0.249
O55 O 0.637 0.509 0.918
O56 O 0.863 0.341 0.919
O57 O 0.481 0.156 0.915
O58 O 0.659 0.137 0.419
O59 O 0.491 0.363 0.418
O60 O 0.844 0.519 0.415
O61 O 0.335 0.490 0.081
O62 O 0.133 0.635 0.083
O63 O 0.531 0.865 0.082
O64 O 0.365 0.867 0.583
O65 O 0.510 0.665 0.581
O66 O 0.135 0.469 0.582
O67 O 0.304 0.842 0.252
O68 O 0.529 0.674 0.253
O69 O 0.147 0.489 0.248
O70 O 0.326 0.471 0.753
O71 O 0.158 0.696 0.752
O72 O 0.511 0.853 0.748
```


No. 2
The following is a DFT calculation (GGA-PBE) of Mg2H6Ru after structural relaxation.

CIF file:
```
data_Mg2H6Ru
_chemical_formula_sum 'Mg2 H6 Ru1'
_space_group_name_H-M_alt 'P 1'
_space_group_IT_number 1
_cell_length_a 4.697
_cell_length_b 4.697
_cell_length_c 4.697
_cell_angle_alpha 60.00
_cell_angle_beta 60.00
_cell_angle_gamma 60.00
loop_
_space_group_symop_operation_xyz
'x,y,z'
loop_
_atom_site_label
_atom_site_type_symbol
_atom_site_fract_x
_atom_site_fract_y
_atom_site_fract_z
Mg1 Mg 0.250 0.250 0.250
Mg2 Mg 0.750 0.750 0.750
H1 H 0.247 0.247 0.753
H2 H 0.247 0.753 0.247
H3 H 0.247 0.753 0.753
H4 H 0.753 0.247 0.247
H5 H 0.753 0.247 0.753
H6 H 0.753 0.753 0.247
Ru1 Ru 0.500 0.500 0.500
```

Summary:
crystal system	cubic
symmetry	No. 225


No. 3
The following is a DFT calculation (GGA-PBE) of Hf2ReTc after structural relaxation.

CIF file:
```
data_Hf2ReTc
_chemical_formula_sum 'Hf8 Re4 Tc4'
_space_group_name_H-M_alt 'P 1'
_space_group_IT_number 1
_cell_length_a 6.541
_cell_length_b 6.541
_cell_length_c 6.541
_cell_angle_alpha 90.00
_cell_angle_beta 90.00
_cell_angle_gamma 90.00
loop_
_space_group_symop_operation_xyz
'x,y,z'
loop_
_atom_site_label
_atom_site_type_symbol
_atom_site_fract_x
_atom_site_fract_y
_atom_site_fract_z
Hf1 Hf 0.250 0.250 0.250
Hf2 Hf 0.250 0.250 0.750
Hf3 Hf 0.250 0.750 0.250
Hf4 Hf 0.250 0.750 0.750
Hf5 Hf 0.750 0.250 0.250
Hf6 Hf 0.750 0.250 0.750
Hf7 Hf 0.750 0.750 0.250
Hf8 Hf 0.750 0.750 0.750
Re1 Re 0.000 0.000 0.000
Re2 Re 0.000 0.500 0.500
Re3 Re 0.500 0.000 0.500
Re4 Re 0.500 0.500 0.000
Tc1 Tc 0.000 0.000 0.500
Tc2 Tc 0.000 0.500 0.000
Tc3 Tc 0.500 0.000 0.000
Tc4 Tc 0.500 0.500 0.500
```

Summary:
crystal system	cubic
symmetry	No. 225


No. 4
The following is a DFT calculation (GGA-PBE) of Li2CdIn after structural relaxation.

CIF file:
```
data_Li2CdIn
_chemical_formula_sum 'Li8 Cd4 In4'
_space_group_name_H-M_alt 'P 1'
_space_group_IT_number 1
_cell_length_a 6.805
_cell_length_b 6.805
_cell_length_c 6.805
_cell_angle_alpha 90.00
_cell_angle_beta 90.00
_cell_angle_gamma 90.00
loop_
_space_group_symop_operation_xyz
'x,y,z'
loop_
_atom_site_label
_atom_site_type_symbol
_atom_site_fract_x
_atom_site_fract_y
_atom_site_fract_z
Li1 Li 0.000 0.000 0.000
Li2 Li 0.000 0.500 0.500
Li3 Li 0.250 0.250 0.250
Li4 Li 0.250 0.750 0.750
Li5 Li 0.500 0.000 0.500
Li6 Li 0.500 0.500 0.000
Li7 Li 0.750 0.250 0.750
Li8 Li 0.750 0.750 0.250
Cd1 Cd 0.000 0.000 0.500
Cd2 Cd 0.000 0.500 0.000
Cd3 Cd 0.500 0.000 0.000
Cd4 Cd 0.500 0.500 0.500
In1 In 0.250 0.250 0.750
In2 In 0.250 0.750 0.250
In3 In 0.750 0.250 0.250
In4 In 0.750 0.750 0.750
```

Summary:
crystal system	cubic
symmetry	No. 216


No. 5
The following is a DFT calculation (GGA-PBE) of Ca2Se4O11 after structural relaxation.

CIF file:
```
data_Ca2Se4O11
_chemical_formula_sum 'Ca4 Se8 O22'
_space_group_name_H-M_alt 'P 1'
_space_group_IT_number 1
_cell_length_a 8.338
_cell_length_b 8.338
_cell_length_c 12.176
_cell_angle_alpha 114.88
_cell_angle_beta 114.88
_cell_angle_gamma 50.97
loop_
_space_group_symop_operation_xyz
'x,y,z'
loop_
_atom_site_label
_atom_site_type_symbol
_atom_site_fract_x
_atom_site_fract_y
_atom_site_fract_z
Ca1 Ca 0.208 0.708 0.144
Ca2 Ca 0.242 0.758 0.500
Ca3 Ca 0.708 0.208 0.644
Ca4 Ca 0.758 0.242 0.000
Se1 Se 0.043 0.352 0.896
Se2 Se 0.159 0.642 0.689
Se3 Se 0.340 0.818 0.980
Se4 Se 0.352 0.043 0.396
Se5 Se 0.603 0.923 0.747
Se6 Se 0.642 0.159 0.189
Se7 Se 0.818 0.340 0.480
Se8 Se 0.923 0.603 0.247
O1 O 0.039 0.873 0.651
O2 O 0.052 0.346 0.760
O3 O 0.094 0.905 0.978
O4 O 0.132 0.622 0.280
O5 O 0.325 0.473 0.590
O6 O 0.326 0.840 0.366
O7 O 0.346 0.052 0.260
O8 O 0.371 0.971 0.647
O9 O 0.374 0.646 0.823
O10 O 0.473 0.325 0.090
O11 O 0.488 0.625 0.060
O12 O 0.584 0.993 0.497
O13 O 0.617 0.908 0.884
O14 O 0.622 0.132 0.780
O15 O 0.625 0.488 0.560
O16 O 0.646 0.374 0.323
O17 O 0.840 0.326 0.866
O18 O 0.873 0.039 0.151
O19 O 0.905 0.094 0.478
O20 O 0.908 0.617 0.384
O21 O 0.971 0.371 0.147
O22 O 0.993 0.584 0.997
```

Summary:
crystal system	monoclinic
symmetry	No. 9


No. 6
The following is a DFT calculation (GGA-PBE) of ZrCuGe after structural relaxation.

CIF file:
```
data_ZrCuGe
_chemical_formula_sum 'Zr4 Cu4 Ge4'
_space_group_name_H-M_alt 'P 1'
_space_group_IT_number 1
_cell_length_a 6.580
_cell_length_b 3.989
_cell_length_c 7.460
_cell_angle_alpha 90.00
_cell_angle_beta 90.00
_cell_angle_gamma 90.00
loop_
_space_group_symop_operation_xyz
'x,y,z'
loop_
_atom_site_label
_atom_site_type_symbol
_atom_site_fract_x
_atom_site_fract_y
_atom_site_fract_z
Zr1 Zr 0.014 0.250 0.192
Zr2 Zr 0.486 0.750 0.692
Zr3 Zr 0.514 0.250 0.308
Zr4 Zr 0.986 0.750 0.808
Cu1 Cu 0.163 0.250 0.573
Cu2 Cu 0.337 0.750 0.073
Cu3 Cu 0.663 0.250 0.927
Cu4 Cu 0.837 0.750 0.427
Ge1 Ge 0.226 0.750 0.393
Ge2 Ge 0.274 0.250 0.893
Ge3 Ge 0.726 0.750 0.107
Ge4 Ge 0.774 0.250 0.607
```

Summary:
crystal system	orthorhombic
symmetry	No. 62


No. 7
The following is a DFT calculation (GGA-PBE) of YMg6Mo after structural relaxation.

CIF file:
```
data_YMg6Mo
_chemical_formula_sum 'Y2 Mg12 Mo2'
_space_group_name_H-M_alt 'P 1'
_space_group_IT_number 1
_cell_length_a 5.013
_cell_length_b 6.291
_cell_length_c 11.270
_cell_angle_alpha 90.00
_cell_angle_beta 90.00
_cell_angle_gamma 90.00
loop_
_space_group_symop_operation_xyz
'x,y,z'
loop_
_atom_site_label
_atom_site_type_symbol
_atom_site_fract_x
_atom_site_fract_y
_atom_site_fract_z
Y1 Y 0.000 0.500 0.310
Y2 Y 0.000 0.000 0.810
Mg1 Mg 0.000 0.262 0.076
Mg2 Mg 0.000 0.738 0.076
Mg3 Mg 0.000 0.000 0.332
Mg4 Mg 0.500 0.753 0.425
Mg5 Mg 0.500 0.247 0.425
Mg6 Mg 0.500 0.000 0.170
Mg7 Mg 0.000 0.762 0.576
Mg8 Mg 0.000 0.238 0.576
Mg9 Mg 0.000 0.500 0.832
Mg10 Mg 0.500 0.253 0.925
Mg11 Mg 0.500 0.747 0.925
Mg12 Mg 0.500 0.500 0.670
Mo1 Mo 0.500 0.500 0.184
Mo2 Mo 0.500 0.000 0.684
```

Summary:
energy above the most stable polymorph in this dataset	0.000	eV/atom


Listing uncorrected energy for the structures above in their given order: -7.08, -3.98, -11.08, -2.16, -5.53, -6.34, -3.17 eV/atom.
Listing ΔH_f (0 K) for the structures above in their given order: -2947, -327, -404, -290, -1719, -583, 198 meV per atom.